A plane-wave DFT calculation with PBE was carried out for an optimized crystal structure of Y6Al43Cr4.

## Properties
ΔH_f (0 K): -14.40 eV per formula unit

Cell: 10.9182 10.9182 17.4923 Å, 90.00 90.00 120.00°
Space group P6_3/mcm (No. 193)
One atom of each set of equivalent atoms:
Y 0.0000 0.4713 0.0951 [12 per cell]
Al 0.0000 0.1447 0.7500 [6 per cell]
Al 0.0000 0.1545 0.1164 [12 per cell]
Al 0.0000 0.2495 0.5307 [12 per cell]
Al 0.1446 0.5473 0.2500 [12 per cell]
Al 0.1588 0.3909 0.6658 [24 per cell]
Al 0.2466 0.4932 0.0000 [12 per cell]
Al 0.3333 0.6667 0.1276 [8 per cell]
Cr 0.0000 0.0000 0.0000 [2 per cell]
Cr 0.0000 0.2697 0.2500 [6 per cell]


A plane-wave DFT calculation with PBE was carried out for an optimized crystal structure of Al3ZnCr8.

## Properties
ΔH_f (0 K): -0.91 eV per formula unit

Cell: 2.9759 2.9759 17.2206 Å, 90.00 90.00 90.00°
Space group P4/mmm (No. 123)
One atom of each set of equivalent atoms:
Al 0.0000 0.0000 0.0000 [1 per cell]
Al 0.5000 0.5000 0.2494 [2 per cell]
Zn 0.0000 0.0000 0.5000 [1 per cell]
Cr 0.0000 0.0000 0.1582 [2 per cell]
Cr 0.0000 0.0000 0.3424 [2 per cell]
Cr 0.5000 0.5000 0.0918 [2 per cell]
Cr 0.5000 0.5000 0.4077 [2 per cell]


A plane-wave DFT calculation with PBE was carried out for an optimized crystal structure of Zr2Al3Cr.

## Properties
ΔH_f (0 K): -2.21 eV per formula unit

Cell: 5.2942 5.2942 12.7741 Å, 90.00 90.00 120.00°
Space group R-3m (No. 166, hexagonal axes)
One atom of each set of equivalent atoms:
Zr 0.0000 0.0000 0.1289 [6 per cell]
Al 0.0000 0.5000 0.0000 [9 per cell]
Cr 0.0000 0.0000 0.5000 [3 per cell]


A plane-wave DFT calculation with PBE was carried out for an optimized crystal structure of CsAlCuF6.

## Properties
ΔH_f (0 K): -27.37 eV per formula unit
Offset from the most stable computed form: 0.2 kJ/mol of atoms

Cell: 7.1925 7.1969 10.3916 Å, 90.00 90.00 90.00°
Space group Imma (No. 74)
One atom of each set of equivalent atoms:
Cs 0.0000 0.2500 0.1244 [4 per cell]
Al 0.0000 0.0000 0.5000 [4 per cell]
Cu 0.2500 0.2500 0.7500 [4 per cell]
F 0.0000 0.2500 0.4520 [4 per cell]
F 0.0000 0.2500 0.8233 [4 per cell]
F 0.1801 0.0416 0.6182 [16 per cell]


A plane-wave DFT calculation with PBE was carried out for an optimized crystal structure of CsAlCuF6.

## Properties
ΔH_f (0 K): -27.39 eV per formula unit
Offset from the most stable computed form: 0.0 kJ/mol of atoms

Cell: 7.1928 7.2040 10.3148 Å, 90.00 90.00 90.00°
Space group Pnma (No. 62)
One atom of each set of equivalent atoms:
Cs 0.0152 0.2500 0.1287 [4 per cell]
Al 0.0000 0.0000 0.5000 [4 per cell]
Cu 0.2265 0.2500 0.7584 [4 per cell]
F 0.0224 0.2500 0.4583 [4 per cell]
F 0.0286 0.7500 0.1752 [4 per cell]
F 0.1536 0.0278 0.6381 [8 per cell]
F 0.2018 0.5474 0.3985 [8 per cell]


A plane-wave DFT calculation with PBE was carried out for an optimized crystal structure of Cs3AlF6.

## Properties
ΔH_f (0 K): -33.84 eV per formula unit

Cell: 9.4142 9.4142 9.4142 Å, 90.00 90.00 90.00°
Space group Fm-3m (No. 225)
One atom of each set of equivalent atoms:
Cs 0.0000 0.0000 0.0000 [4 per cell]
Cs 0.2500 0.2500 0.2500 [8 per cell]
Al 0.0000 0.0000 0.5000 [4 per cell]
F 0.0000 0.0000 0.3037 [24 per cell]


A plane-wave DFT calculation with PBE was carried out for an optimized crystal structure of CsAlF4.

## Properties
ΔH_f (0 K): -21.81 eV per formula unit

Cell: 9.6311 9.6311 3.7710 Å, 90.00 90.00 120.00°
Space group P-62m (No. 189)
One atom of each set of equivalent atoms:
Cs 0.0000 0.5687 0.0000 [3 per cell]
Al 0.0000 0.2164 0.5000 [3 per cell]
F 0.0000 0.2079 0.0000 [3 per cell]
F 0.0000 0.8456 0.5000 [3 per cell]
F 0.1565 0.4197 0.5000 [6 per cell]


A plane-wave DFT calculation with PBE was carried out for an optimized crystal structure of CsAlF4.

## Properties
ΔH_f (0 K): -21.77 eV per formula unit

Cell: 12.0047 12.0047 13.5846 Å, 90.00 90.00 90.00°
Space group I4/mcm (No. 140)
One atom of each set of equivalent atoms:
Cs 0.0000 0.0000 0.2500 [4 per cell]
Cs 0.1597 0.3403 0.1837 [16 per cell]
Al 0.0000 0.5000 0.0000 [4 per cell]
Al 0.0755 0.2080 0.5000 [16 per cell]
F 0.0005 0.3452 0.0000 [16 per cell]
F 0.0000 0.5000 0.1306 [8 per cell]
F 0.0682 0.1430 0.0000 [16 per cell]
F 0.0773 0.2090 0.3692 [32 per cell]
F 0.2158 0.2842 0.5000 [8 per cell]


A plane-wave DFT calculation with PBE was carried out for an optimized crystal structure of CsAlF4.

## Properties
ΔH_f (0 K): -21.84 eV per formula unit

Cell: 10.7867 6.8527 17.8615 Å, 90.00 90.00 90.00°
Space group Pnma (No. 62)
One atom of each set of equivalent atoms:
Cs 0.0703 0.2500 0.2277 [4 per cell]
Cs 0.1189 0.7500 0.5430 [4 per cell]
Cs 0.1912 0.2500 0.8164 [4 per cell]
Al 0.0000 0.0000 0.0000 [4 per cell]
Al 0.1995 0.7500 0.1260 [4 per cell]
Al 0.2406 0.2500 0.4246 [4 per cell]
F 0.0601 0.2500 0.0067 [4 per cell]
F 0.0871 0.5612 0.0832 [8 per cell]
F 0.0996 0.7500 0.2065 [4 per cell]
F 0.1321 0.0575 0.4148 [8 per cell]
F 0.1316 0.5612 0.9418 [8 per cell]
F 0.2078 0.0539 0.6582 [8 per cell]
F 0.2117 0.7500 0.8285 [4 per cell]
F 0.2230 0.2500 0.5306 [4 per cell]


A plane-wave DFT calculation with PBE was carried out for an optimized crystal structure of CsAlH4O2F4.

## Properties
ΔH_f (0 K): -29.57 eV per formula unit

Cell: 11.5222 6.8223 9.0619 Å, 90.00 123.42 90.00°
Space group C2/c (No. 15)
One atom of each set of equivalent atoms:
Cs 0.0000 0.2208 0.2500 [4 per cell]
Al 0.2500 0.2500 0.0000 [4 per cell]
H 0.0547 0.2725 0.6658 [8 per cell]
H 0.1832 0.4054 0.6930 [8 per cell]
O 0.1439 0.3402 0.7550 [8 per cell]
F 0.0879 0.1707 0.9695 [8 per cell]
F 0.2291 0.4921 0.0705 [8 per cell]